Record 1
CaB2H10O9 PBE-GGA optimized geometry; SG = P-1, No. 2; size of the total moment = 0.00 μB/f.u.; final energy = -257.2 eV/cell; energy of formation = -1.862 eV/atom
1.0
6.5290 0.0000 0.0000
2.1850 7.5152 0.0000
2.9892 2.1562 7.2494
Ca B H O
2 4 20 18
direct
0.0954 0.0026 0.2360 Ca
0.9046 0.9974 0.7640 Ca
0.1243 0.3207 0.8419 B
0.3498 0.9975 0.7926 B
0.6502 0.0025 0.2074 B
0.8757 0.6793 0.1581 B
0.0907 0.6736 0.6042 H
0.1487 0.2528 0.4225 H
0.1760 0.4005 0.0400 H
0.2098 0.6947 0.0489 H
0.2623 0.4915 0.2742 H
0.3051 0.4305 0.4774 H
0.3782 0.4804 0.6926 H
0.3980 0.9247 0.4427 H
0.4108 0.7686 0.7003 H
0.4931 0.1776 0.0073 H
0.5069 0.8224 0.9927 H
0.5892 0.2314 0.2997 H
0.6020 0.0753 0.5573 H
0.6218 0.5196 0.3074 H
0.6949 0.5695 0.5226 H
0.7377 0.5085 0.7258 H
0.7902 0.3053 0.9511 H
0.8240 0.5995 0.9600 H
0.8513 0.7472 0.5775 H
0.9093 0.3264 0.3958 H
0.0099 0.2092 0.4436 O
0.1180 0.5946 0.1207 O
0.1533 0.1451 0.8057 O
0.2055 0.2851 0.0030 O
0.2404 0.4658 0.6800 O
0.3025 0.8860 0.6976 O
0.3541 0.8811 0.9841 O
0.3604 0.4078 0.3524 O
0.4317 0.9416 0.3096 O
0.5683 0.0584 0.6904 O
0.6396 0.5922 0.6476 O
0.6459 0.1189 0.0159 O
0.6975 0.1140 0.3024 O
0.7597 0.5342 0.3200 O
0.7945 0.7149 0.9970 O
0.8467 0.8549 0.1943 O
0.8820 0.4054 0.8793 O
0.9901 0.7908 0.5564 O

=====

Record 2
CaB2H2O7 PBE-GGA optimized geometry; SG = P-1, No. 2; size of the total moment = 1.00 μB/f.u.; final energy = -154.0 eV/cell; energy of formation = -2.084 eV/atom
1.0
6.0371 0.0000 0.0000
1.2707 6.7191 0.0000
2.5262 1.3742 6.5157
Ca B H O
2 4 4 14
direct
0.1609 0.2053 0.4696 Ca
0.8391 0.7947 0.5304 Ca
0.3551 0.6819 0.9140 B
0.3717 0.7001 0.5254 B
0.6283 0.2999 0.4746 B
0.6449 0.3181 0.0860 B
0.1519 0.4622 0.9846 H
0.4283 0.7392 0.1474 H
0.5717 0.2608 0.8526 H
0.8481 0.5378 0.0154 H
0.0239 0.9930 0.9102 O
0.1670 0.5710 0.0439 O
0.2261 0.8664 0.4560 O
0.2457 0.5166 0.5632 O
0.3818 0.3207 0.6398 O
0.4380 0.7148 0.7046 O
0.4757 0.7677 0.9975 O
0.5243 0.2323 0.0025 O
0.5620 0.2852 0.2954 O
0.6182 0.6793 0.3602 O
0.7543 0.4834 0.4368 O
0.7739 0.1336 0.5440 O
0.8330 0.4290 0.9561 O
0.9761 0.0070 0.0898 O

=====

Record 3
CaB2H4O6 PBE-GGA optimized geometry; SG = P2_1/c, No. 14; size of the total moment = 0.00 μB/f.u.; final energy = -670.9 eV/cell; energy of formation = -2.259 eV/atom; distance to the lowest polymorph of the same formula = 0.002 eV per atom
1.0
7.0252 0.0000 0.0000
0.0000 12.4575 0.0000
-5.7708 0.0000 9.8371
Ca B H O
8 16 32 48
direct
0.0633 0.2390 0.2616 Ca
0.0633 0.2610 0.7616 Ca
0.4154 0.1007 0.6355 Ca
0.4154 0.3993 0.1355 Ca
0.5846 0.6007 0.8645 Ca
0.5846 0.8993 0.3645 Ca
0.9367 0.7390 0.2384 Ca
0.9367 0.7610 0.7384 Ca
0.0798 0.5090 0.8367 B
0.0798 0.9910 0.3367 B
0.1936 0.6973 0.5951 B
0.1936 0.8027 0.0951 B
0.3455 0.6514 0.0201 B
0.3455 0.8486 0.5201 B
0.4492 0.6646 0.2652 B
0.4492 0.8354 0.7652 B
0.5508 0.1646 0.2348 B
0.5508 0.3354 0.7348 B
0.6545 0.1514 0.4799 B
0.6545 0.3486 0.9799 B
0.8064 0.1973 0.9049 B
0.8064 0.3027 0.4049 B
0.9202 0.0090 0.6633 B
0.9202 0.4910 0.1633 B
0.0112 0.0800 0.9083 H
0.0112 0.4200 0.4083 H
0.0668 0.5852 0.0812 H
0.0668 0.9148 0.5812 H
0.2180 0.1897 0.0863 H
0.2180 0.3103 0.5863 H
0.2299 0.0528 0.2377 H
0.2299 0.4472 0.7377 H
0.2432 0.0234 0.7921 H
0.2432 0.4766 0.2921 H
0.3513 0.5967 0.5330 H
0.3513 0.9033 0.0330 H
0.4295 0.0496 0.0899 H
0.4295 0.4504 0.5899 H
0.4893 0.2250 0.0103 H
0.4893 0.2750 0.5103 H
0.5107 0.7250 0.4897 H
0.5107 0.7750 0.9897 H
0.5705 0.5496 0.4101 H
0.5705 0.9504 0.9101 H
0.6487 0.0967 0.9670 H
0.6487 0.4033 0.4670 H
0.7568 0.5234 0.7079 H
0.7568 0.9766 0.2079 H
0.7701 0.5528 0.2623 H
0.7701 0.9472 0.7623 H
0.7820 0.6897 0.4137 H
0.7820 0.8103 0.9137 H
0.9332 0.0852 0.4188 H
0.9332 0.4148 0.9188 H
0.9888 0.5800 0.5917 H
0.9888 0.9200 0.0917 H
0.0285 0.1558 0.9368 O
0.0285 0.3442 0.4368 O
0.0776 0.0435 0.2172 O
0.0778 0.0793 0.4255 O
0.0778 0.4207 0.9255 O
0.0776 0.4565 0.7172 O
0.1324 0.0711 0.7213 O
0.1324 0.4289 0.2213 O
0.1734 0.7336 0.9862 O
0.1734 0.7664 0.4862 O
0.2761 0.5744 0.9076 O
0.2761 0.9256 0.4076 O
0.2822 0.7477 0.2270 O
0.2822 0.7523 0.7270 O
0.3283 0.2183 0.1788 O
0.3283 0.2817 0.6788 O
0.3402 0.6015 0.6150 O
0.3402 0.8985 0.1150 O
0.4029 0.5945 0.1488 O
0.4029 0.9055 0.6488 O
0.4466 0.2052 0.4630 O
0.4466 0.2948 0.9630 O
0.4479 0.6005 0.3769 O
0.4479 0.8995 0.8769 O
0.5521 0.1005 0.1231 O
0.5521 0.3995 0.6231 O
0.5534 0.7052 0.0370 O
0.5534 0.7948 0.5370 O
0.5971 0.0945 0.3512 O
0.5971 0.4055 0.8512 O
0.6598 0.1015 0.8850 O
0.6598 0.3985 0.3850 O
0.6717 0.7183 0.3212 O
0.6717 0.7817 0.8212 O
0.7178 0.2477 0.2730 O
0.7178 0.2523 0.7730 O
0.7239 0.0744 0.5924 O
0.7239 0.4256 0.0924 O
0.8266 0.2336 0.5138 O
0.8266 0.2664 0.0138 O
0.8676 0.5711 0.7787 O
0.8676 0.9289 0.2787 O
0.9224 0.5435 0.2828 O
0.9222 0.5793 0.0745 O
0.9222 0.9207 0.5745 O
0.9224 0.9565 0.7828 O
0.9715 0.6558 0.5632 O
0.9715 0.8442 0.0632 O

=====

Record 4
CaB2H4O6 PBE-GGA optimized geometry; SG = C2/c, No. 15; size of the total moment = 0.00 μB/f.u.; final energy = -167.8 eV/cell; energy of formation = -2.261 eV/atom; distance to the lowest polymorph of the same formula = 0.000 eV per atom
1.0
5.0673 -4.8843 0.0000
5.0673 4.8843 0.0000
-0.0819 0.0000 4.4268
Ca B H O
2 4 8 12
direct
0.2078 0.7922 0.7500 Ca
0.7922 0.2078 0.2500 Ca
0.1413 0.2765 0.8111 B
0.2765 0.1413 0.3111 B
0.7235 0.8587 0.6889 B
0.8587 0.7235 0.1889 B
0.0715 0.5222 0.2838 H
0.3603 0.4093 0.6296 H
0.4093 0.3603 0.1296 H
0.4778 0.9285 0.2162 H
0.5222 0.0715 0.7838 H
0.5907 0.6397 0.8704 H
0.6397 0.5907 0.3704 H
0.9285 0.4778 0.7162 H
0.0534 0.6605 0.2983 O
0.1186 0.2162 0.1242 O
0.2162 0.1186 0.6242 O
0.2750 0.4410 0.8016 O
0.3395 0.9466 0.2017 O
0.4410 0.2750 0.3016 O
0.5590 0.7250 0.6984 O
0.6605 0.0534 0.7983 O
0.7250 0.5590 0.1984 O
0.7838 0.8814 0.3758 O
0.8814 0.7838 0.8758 O
0.9466 0.3395 0.7017 O

=====

Record 5
CaB12H12O8 PBE-GGA optimized geometry; SG = P2_12_12_1, No. 19; size of the total moment = 0.00 μB/f.u.; final energy = -684.1 eV/cell; energy of formation = -0.426 eV/atom
1.0
11.1201 0.0000 0.0000
0.0000 11.4702 0.0000
0.0000 0.0000 11.4973
Ca B H O
4 48 48 32
direct
0.0036 0.0058 0.4245 Ca
0.4964 0.9942 0.9245 Ca
0.5036 0.4942 0.5755 Ca
0.9964 0.5058 0.0755 Ca
0.0068 0.9850 0.1835 B
0.0256 0.9683 0.0317 B
0.0322 0.8435 0.1255 B
0.0448 0.3369 0.5101 B
0.0753 0.3645 0.2618 B
0.0860 0.5668 0.4130 B
0.1087 0.2718 0.3826 B
0.1193 0.4743 0.5325 B
0.1479 0.5010 0.2849 B
0.1999 0.3499 0.4807 B
0.2193 0.3670 0.3250 B
0.2284 0.4890 0.4210 B
0.2716 0.5110 0.9210 B
0.2807 0.6330 0.8250 B
0.3001 0.6501 0.9807 B
0.3521 0.4990 0.7849 B
0.3807 0.5257 0.0325 B
0.3913 0.7282 0.8826 B
0.4140 0.4332 0.9130 B
0.4247 0.6355 0.7618 B
0.4552 0.6631 0.0101 B
0.4678 0.1565 0.6255 B
0.4744 0.0317 0.5317 B
0.4932 0.0150 0.6835 B
0.5068 0.5150 0.8165 B
0.5256 0.5317 0.9683 B
0.5322 0.6565 0.8745 B
0.5448 0.1631 0.4899 B
0.5753 0.1355 0.7382 B
0.5860 0.9332 0.5870 B
0.6087 0.2282 0.6174 B
0.6193 0.0257 0.4675 B
0.6479 0.9990 0.7151 B
0.6999 0.1501 0.5193 B
0.7193 0.1330 0.6750 B
0.7284 0.0110 0.5790 B
0.7716 0.9890 0.0790 B
0.7807 0.8670 0.1750 B
0.8001 0.8499 0.0193 B
0.8521 0.0010 0.2151 B
0.8807 0.9743 0.9675 B
0.8913 0.7718 0.1174 B
0.9140 0.0668 0.0870 B
0.9247 0.8645 0.2382 B
0.9552 0.8369 0.9899 B
0.9678 0.3435 0.3745 B
0.9744 0.4683 0.4683 B
0.9932 0.4850 0.3165 B
0.0106 0.2776 0.5897 H
0.0601 0.3255 0.1648 H
0.0753 0.6705 0.4208 H
0.0836 0.0344 0.2400 H
0.1025 0.4968 0.8675 H
0.1127 0.0043 0.9836 H
0.1222 0.7905 0.1445 H
0.1252 0.1675 0.3715 H
0.1339 0.5162 0.6266 H
0.1817 0.5619 0.2052 H
0.1897 0.6635 0.7788 H
0.2229 0.6943 0.0373 H
0.2771 0.3057 0.5373 H
0.3103 0.3365 0.2788 H
0.3183 0.4381 0.7052 H
0.3661 0.4838 0.1266 H
0.3748 0.8325 0.8715 H
0.3778 0.2095 0.6445 H
0.3873 0.9957 0.4836 H
0.3975 0.5032 0.3675 H
0.4164 0.9656 0.7400 H
0.4247 0.3295 0.9208 H
0.4399 0.6745 0.6648 H
0.4894 0.7224 0.0897 H
0.5106 0.2224 0.4103 H
0.5601 0.1745 0.8352 H
0.5753 0.8295 0.5792 H
0.5836 0.4656 0.7600 H
0.6025 0.0032 0.1325 H
0.6127 0.4957 0.0164 H
0.6222 0.7095 0.8555 H
0.6252 0.3325 0.6285 H
0.6339 0.9838 0.3734 H
0.6817 0.9381 0.7948 H
0.6897 0.8365 0.2212 H
0.7229 0.8057 0.9627 H
0.7771 0.1943 0.4627 H
0.8103 0.1635 0.7212 H
0.8183 0.0619 0.2948 H
0.8661 0.0162 0.8734 H
0.8748 0.6675 0.1285 H
0.8778 0.2905 0.3555 H
0.8873 0.5043 0.5164 H
0.8975 0.9968 0.6325 H
0.9164 0.5344 0.2600 H
0.9247 0.1705 0.0792 H
0.9399 0.8255 0.3352 H
0.9894 0.7776 0.9103 H
0.0507 0.2590 0.8828 O
0.0527 0.9587 0.7448 O
0.1092 0.2178 0.8029 O
0.1459 0.4741 0.9384 O
0.1567 0.9780 0.6997 O
0.1590 0.0054 0.5866 O
0.1962 0.2240 0.0013 O
0.2462 0.8203 0.4210 O
0.2538 0.1797 0.9210 O
0.3038 0.7760 0.5013 O
0.3410 0.9946 0.0866 O
0.3433 0.0220 0.1997 O
0.3541 0.5259 0.4384 O
0.3908 0.7822 0.3029 O
0.4473 0.0413 0.2448 O
0.4493 0.7410 0.3828 O
0.5507 0.2410 0.1172 O
0.5527 0.5413 0.2552 O
0.6092 0.2822 0.1971 O
0.6459 0.0259 0.0616 O
0.6567 0.5220 0.3003 O
0.6590 0.4946 0.4134 O
0.6962 0.2760 0.9987 O
0.7462 0.6797 0.5790 O
0.7538 0.3203 0.0790 O
0.8038 0.7240 0.4987 O
0.8410 0.5054 0.9134 O
0.8433 0.4780 0.8003 O
0.8541 0.9741 0.5616 O
0.8908 0.7178 0.6971 O
0.9473 0.4587 0.7552 O
0.9493 0.7590 0.6172 O